The following is a PBE calculation of a relaxed structure of LuAgSn, from Materials Project.

abc: 4.702 4.702 7.295
angles: 90.00 90.00 120.00
Fractional positions:
Lu 0.000 0.000 0.000
Lu 0.000 0.000 0.500
Ag 0.333 0.667 0.181
Ag 0.667 0.333 0.681
Sn 0.333 0.667 0.778
Sn 0.667 0.333 0.278

Computed properties:
- VASP energy: -4.309 eV per atom
- Symmetry: P6_3mc, No. 186
- Calculated formation energy: -0.5214 eV per atom